Record 1
A geometry-optimized Hf2N2O structure, computed with PBE.

Structure (POSCAR):
```
Hf2N2O
1.0
-6.985 -3.918 -3.398
3.275 -4.986 6.377
-2.314 7.772 3.254
N Hf O
16 16 8
direct
0.531 0.760 0.489 N
0.263 0.488 0.035 N
0.730 0.741 0.271 N
0.049 0.772 0.535 N
0.736 0.508 0.962 N
0.986 0.036 0.762 N
0.458 0.995 0.730 N
0.236 0.271 0.231 N
0.463 0.233 0.511 N
0.971 0.456 0.228 N
0.483 0.724 0.949 N
0.723 0.465 0.449 N
0.231 0.957 0.991 N
0.775 0.044 0.012 N
0.958 0.225 0.466 N
0.028 0.542 0.772 N
0.461 0.216 0.258 Hf
0.278 0.740 0.021 Hf
0.753 0.969 0.216 Hf
0.007 0.010 0.996 Hf
0.747 0.464 0.713 Hf
0.961 0.706 0.249 Hf
0.214 0.251 0.461 Hf
0.717 0.255 0.969 Hf
0.508 0.517 0.008 Hf
0.039 0.286 0.749 Hf
0.497 0.995 0.507 Hf
0.242 0.025 0.784 Hf
0.784 0.750 0.528 Hf
0.539 0.798 0.757 Hf
0.252 0.530 0.281 Hf
0.989 0.498 0.497 Hf
0.513 0.274 0.046 O
0.277 0.531 0.551 O
0.230 0.782 0.263 O
0.015 0.963 0.239 O
0.764 0.727 0.774 O
0.547 0.009 0.275 O
0.771 0.224 0.734 O
0.275 0.262 0.730 O
```

Calculated values
space-group type	No. 1
VASP energy	-10.555	eV per atom
volume	511.8	Å³/cell
formation energy	-2.385	eV/atom

=====

Record 2
A geometry-optimized Hf2N2O structure, computed with PBE.

Structure (POSCAR):
```
Hf2N2O
1.0
8.708 0.000 0.000
-2.893 8.237 0.000
-2.892 -4.118 7.142
N Hf O
16 16 8
direct
0.221 0.773 0.234 N
0.047 0.774 0.515 N
0.771 0.232 0.760 N
0.732 0.764 0.273 N
0.774 0.042 0.034 N
0.528 0.274 0.040 N
0.729 0.488 0.461 N
0.467 0.727 0.953 N
0.452 0.968 0.727 N
0.271 0.508 0.544 N
0.984 0.451 0.222 N
0.236 0.463 0.007 N
0.261 0.268 0.227 N
0.515 0.738 0.467 N
0.546 0.039 0.274 N
0.969 0.009 0.740 N
0.963 0.749 0.707 Hf
0.535 0.243 0.788 Hf
0.041 0.258 0.285 Hf
0.715 0.972 0.749 Hf
0.292 0.032 0.250 Hf
0.463 0.750 0.215 Hf
0.511 0.004 0.999 Hf
0.222 0.472 0.755 Hf
0.745 0.789 0.039 Hf
0.745 0.280 0.530 Hf
0.781 0.532 0.255 Hf
0.249 0.221 0.972 Hf
0.492 0.504 0.491 Hf
0.251 0.715 0.464 Hf
0.992 0.984 0.501 Hf
0.007 0.498 0.010 Hf
0.019 0.549 0.772 O
0.038 0.996 0.270 O
0.738 0.721 0.775 O
0.763 0.539 0.985 O
0.955 0.229 0.493 O
0.273 0.241 0.717 O
0.222 0.944 0.966 O
0.484 0.259 0.535 O
```

Calculated values
space-group type	No. 1
VASP energy	-10.556	eV per atom
volume	512.3	Å³/cell
formation energy	-2.386	eV/atom

=====

What is the formula in the second record? Hf2N2O

=====

What did the second record say?
A geometry-optimized Hf2N2O structure, computed with PBE.

Structure (POSCAR):
```
Hf2N2O
1.0
8.708 0.000 0.000
-2.893 8.237 0.000
-2.892 -4.118 7.142
N Hf O
16 16 8
direct
0.221 0.773 0.234 N
0.047 0.774 0.515 N
0.771 0.232 0.760 N
0.732 0.764 0.273 N
0.774 0.042 0.034 N
0.528 0.274 0.040 N
0.729 0.488 0.461 N
0.467 0.727 0.953 N
0.452 0.968 0.727 N
0.271 0.508 0.544 N
0.984 0.451 0.222 N
0.236 0.463 0.007 N
0.261 0.268 0.227 N
0.515 0.738 0.467 N
0.546 0.039 0.274 N
0.969 0.009 0.740 N
0.963 0.749 0.707 Hf
0.535 0.243 0.788 Hf
0.041 0.258 0.285 Hf
0.715 0.972 0.749 Hf
0.292 0.032 0.250 Hf
0.463 0.750 0.215 Hf
0.511 0.004 0.999 Hf
0.222 0.472 0.755 Hf
0.745 0.789 0.039 Hf
0.745 0.280 0.530 Hf
0.781 0.532 0.255 Hf
0.249 0.221 0.972 Hf
0.492 0.504 0.491 Hf
0.251 0.715 0.464 Hf
0.992 0.984 0.501 Hf
0.007 0.498 0.010 Hf
0.019 0.549 0.772 O
0.038 0.996 0.270 O
0.738 0.721 0.775 O
0.763 0.539 0.985 O
0.955 0.229 0.493 O
0.273 0.241 0.717 O
0.222 0.944 0.966 O
0.484 0.259 0.535 O
```

Calculated values
space-group type	No. 1
VASP energy	-10.556	eV per atom
volume	512.3	Å³/cell
formation energy	-2.386	eV/atom

=====

Among the records above, which one has the lowest formation energy? number 2